Density functional theory data (r2SCAN) for SiC after structural relaxation.

```
SiC
1.0
3.0765 0.0000 0.0000
-1.5383 2.6643 0.0000
0.0000 0.0000 67.9494
Si C
27 27
Direct
0.0000 0.0000 0.2222
0.6667 0.3333 0.9629
0.6667 0.3333 0.4074
0.3333 0.6667 0.2963
0.3333 0.6667 0.5185
0.6667 0.3333 0.6296
0.0000 0.0000 0.9259
0.0000 0.0000 0.7778
0.0000 0.0000 0.4444
0.3333 0.6667 0.7407
0.3333 0.6667 0.1481
0.0000 0.0000 0.6667
0.6667 0.3333 0.1852
0.6667 0.3333 0.4815
0.3333 0.6667 0.8889
0.6667 0.3333 0.1111
0.3333 0.6667 0.8148
0.6667 0.3333 0.2593
0.0000 0.0000 0.0000
0.6667 0.3333 0.8518
0.0000 0.0000 0.5555
0.0000 0.0000 0.0741
0.0000 0.0000 0.3333
0.6667 0.3333 0.7037
0.3333 0.6667 0.5926
0.3333 0.6667 0.3704
0.3333 0.6667 0.0370
0.0000 0.0000 0.8056
0.6667 0.3333 0.5093
0.3333 0.6667 0.9167
0.3333 0.6667 0.0649
0.6667 0.3333 0.9908
0.6667 0.3333 0.4351
0.6667 0.3333 0.1389
0.0000 0.0000 0.4723
0.3333 0.6667 0.7685
0.3333 0.6667 0.3981
0.3333 0.6667 0.6204
0.0000 0.0000 0.1019
0.0000 0.0000 0.0277
0.6667 0.3333 0.2129
0.0000 0.0000 0.9537
0.0000 0.0000 0.5834
0.0000 0.0000 0.6945
0.6667 0.3333 0.8797
0.3333 0.6667 0.1760
0.0000 0.0000 0.3612
0.6667 0.3333 0.7315
0.3333 0.6667 0.3240
0.6667 0.3333 0.6574
0.6667 0.3333 0.2870
0.0000 0.0000 0.2501
0.3333 0.6667 0.5463
0.3333 0.6667 0.8426
```

Properties
Total magnetization in μB/cell: 0.00
E above lowest polymorph in meV/atom: 0
Formation energy from the elements in eV/atom: -0.3059
E in eV per atom: -9.666



Density functional theory data (r2SCAN) for Cs2SnAs2 after structural relaxation.

```
Cs2SnAs2
1.0
6.4416 0.0000 -2.7027
-1.4094 6.9044 -3.3591
0.0333 0.0244 9.1072
Cs Sn As
4 2 4
Direct
0.1469 0.9839 0.2939
0.8531 0.0161 0.7061
0.3531 0.6900 0.7061
0.6469 0.3100 0.2939
0.2500 0.5000 0.0000
0.7500 0.5000 0.0000
0.4026 0.2282 0.8052
0.5974 0.7718 0.1948
0.0974 0.4230 0.1948
0.9026 0.5770 0.8052
```

Properties
Total magnetization in μB/cell: 0.00
Formation energy from the elements in eV/atom: -0.5742
E in eV per atom: -21.450



Density functional theory data (r2SCAN) for Cr3SbAs2 after structural relaxation.

```
Cr3SbAs2
1.0
3.7428 0.0000 0.0000
0.0000 8.8938 0.1782
0.0000 3.2832 13.3694
Cr Sb As
12 4 8
Direct
0.0000 0.0121 0.7436
0.0000 0.3293 0.0849
0.0000 0.6773 0.4066
0.0000 0.8438 0.5813
0.0000 0.1643 0.9195
0.0000 0.5091 0.2479
0.5000 0.3154 0.5869
0.5000 0.6658 0.9169
0.5000 0.9846 0.2517
0.5000 0.5114 0.7436
0.5000 0.8239 0.0930
0.5000 0.1621 0.4270
0.0000 0.8605 0.9452
0.0000 0.1918 0.2818
0.0000 0.5286 0.6027
0.0000 0.4717 0.8863
0.0000 0.8050 0.2204
0.0000 0.1381 0.5561
0.5000 0.1333 0.0585
0.5000 0.4728 0.3890
0.5000 0.8119 0.7223
0.5000 0.5241 0.1102
0.5000 0.8627 0.4443
0.5000 0.2005 0.7805
```

Properties
Total magnetization in μB/cell: 36.78
Formation energy from the elements in eV/atom: -0.2497
E in eV per atom: -16.973



Density functional theory data (r2SCAN) for Y6RhI10 after structural relaxation.

```
Y6RhI10
1.0
-5.9101 -4.8927 -0.6301
2.0046 0.2175 9.3994
-4.9378 8.1098 -2.0969
Y Rh I
6 1 10
Direct
0.5315 0.2220 0.4184
0.4685 0.7780 0.5816
0.1469 0.3738 0.3319
0.8531 0.6262 0.6681
0.6154 0.5425 0.2560
0.3846 0.4575 0.7440
0.5000 0.5000 0.5000
0.1476 0.0458 0.2259
0.8524 0.9542 0.7741
0.2365 0.4087 0.0333
0.7635 0.5913 0.9667
0.7168 0.2385 0.1502
0.2832 0.7615 0.8498
0.0480 0.6877 0.4086
0.9520 0.3123 0.5914
0.4113 0.1256 0.6796
0.5887 0.8744 0.3204
```

Properties
Total magnetization in μB/cell: 0.99
Formation energy from the elements in eV/atom: -1.4601
E in eV per atom: -24.496